Entry 1:
# Na2YGaP2SO12, relaxed, DFT PBE-GGA
# Magnetic moment: 0.00 μB per formula unit
# ρ: 3.1 g/cm³
# Total energy: -6.77 eV/atom
data_Na2YGaP2SO12
_cell_length_a 8.9135
_cell_length_b 8.9266
_cell_length_c 22.8382
_cell_angle_alpha 90.54
_cell_angle_beta 90.10
_cell_angle_gamma 119.79
_symmetry_space_group_name_H-M 'P 1'
_symmetry_Int_Tables_number 1
loop_
_symmetry_equiv_pos_as_xyz
'x,y,z'
loop_
_atom_site_label
_atom_site_type_symbol
_atom_site_fract_x
_atom_site_fract_y
_atom_site_fract_z
Na1 Na 0.0000 0.0000 0.0000
Na2 Na 0.0082 0.6655 0.4072
Na3 Na 0.0263 0.6658 0.9180
Na4 Na 0.0355 0.3344 0.1618
Na5 Na 0.3224 0.6547 0.3310
Na6 Na 0.3423 0.3284 0.7449
Na7 Na 0.3646 0.3315 0.2421
Na8 Na 0.3744 0.9999 0.4917
Na9 Na 0.6652 0.3348 0.6636
Na10 Na 0.6738 0.0041 0.0786
Na11 Na 0.6916 0.9960 0.5728
Na12 Na 0.7030 0.6590 0.8336
Y1 Y 0.0291 0.6889 0.5521
Y2 Y 0.0349 0.7044 0.2599
Y3 Y 0.0421 0.7074 0.7656
Y4 Y 0.3634 0.3586 0.9006
Y5 Y 0.3703 0.3724 0.5887
Y6 Y 0.6941 0.0215 0.7257
Ga1 Ga 0.0324 0.6967 0.0643
Ga2 Ga 0.3620 0.3539 0.3884
Ga3 Ga 0.3621 0.3786 0.0915
Ga4 Ga 0.6968 0.0263 0.2261
Ga5 Ga 0.6977 0.0390 0.4231
Ga6 Ga 0.7165 0.0464 0.9317
P1 P 0.0355 0.0019 0.1556
P2 P 0.0601 0.3691 0.9989
P3 P 0.3341 0.9989 0.6548
P4 P 0.3353 0.6999 0.1595
P5 P 0.3799 0.6667 0.4811
P6 P 0.4211 0.0421 0.3268
P7 P 0.6553 0.3524 0.4852
P8 P 0.6704 0.6655 0.9967
P9 P 0.7008 0.3209 0.8310
P10 P 0.7319 0.6921 0.6610
P11 P 0.9902 0.3059 0.3259
P12 P 0.9909 0.0298 0.8343
S1 S 0.0344 0.3950 0.6600
S2 S 0.0611 0.0702 0.4854
S3 S 0.3655 0.0566 0.9992
S4 S 0.4099 0.7400 0.8354
S5 S 0.6908 0.7389 0.3274
S6 S 0.7271 0.3946 0.1572
O1 O 0.0021 0.8618 0.8339
O2 O 0.0070 0.8867 0.1004
O3 O 0.0148 0.4911 0.3233
O4 O 0.0254 0.4841 0.6073
O5 O 0.0385 0.5278 0.0097
O6 O 0.0452 0.4919 0.7137
O7 O 0.0528 0.8995 0.4879
O8 O 0.0655 0.9213 0.2099
O9 O 0.1334 0.1644 0.5410
O10 O 0.1466 0.3270 0.0513
O11 O 0.1676 0.4001 0.9437
O12 O 0.1709 0.1888 0.8347
O13 O 0.1753 0.1594 0.4358
O14 O 0.1782 0.3317 0.3308
O15 O 0.1854 0.3709 0.6586
O16 O 0.1962 0.1869 0.1484
O17 O 0.2077 0.8842 0.0060
O18 O 0.2211 0.6950 0.4839
O19 O 0.2241 0.6535 0.2157
O20 O 0.2339 0.8990 0.7091
O21 O 0.2358 0.7190 0.8353
O22 O 0.2378 0.7277 0.1084
O23 O 0.2410 0.8762 0.3216
O24 O 0.2497 0.9033 0.5969
O25 O 0.3283 0.1244 0.9453
O26 O 0.3489 0.1786 0.6569
O27 O 0.3519 0.5351 0.1488
O28 O 0.3530 0.5496 0.4269
O29 O 0.3908 0.1728 0.0494
O30 O 0.3953 0.5863 0.5381
O31 O 0.3982 0.2030 0.3318
O32 O 0.3984 0.5684 0.8363
O33 O 0.4955 0.0065 0.3830
O34 O 0.4974 0.8149 0.7796
O35 O 0.5064 0.8449 0.8866
O36 O 0.5156 0.8629 0.1683
O37 O 0.5209 0.0286 0.6557
O38 O 0.5207 0.0383 0.9923
O39 O 0.5323 0.5651 0.3295
O40 O 0.5330 0.0626 0.2726
O41 O 0.5418 0.5628 0.0460
O42 O 0.5431 0.3500 0.8342
O43 O 0.5436 0.8491 0.4784
O44 O 0.5472 0.3668 0.4354
O45 O 0.5527 0.3713 0.1478
O46 O 0.5529 0.5262 0.6592
O47 O 0.5590 0.3235 0.5443
O48 O 0.6077 0.5702 0.9374
O49 O 0.6678 0.8195 0.2738
O50 O 0.6741 0.1883 0.4802
O51 O 0.6863 0.2338 0.7710
O52 O 0.6910 0.8504 0.9927
O53 O 0.7040 0.2141 0.8834
O54 O 0.7109 0.8417 0.3804
O55 O 0.7141 0.8531 0.6582
O56 O 0.7198 0.2239 0.1629
O57 O 0.7987 0.4968 0.2116
O58 O 0.8145 0.6776 0.7190
O59 O 0.8338 0.5143 0.4865
O60 O 0.8378 0.6917 0.6082
O61 O 0.8443 0.7170 0.3239
O62 O 0.8470 0.4804 0.1077
O63 O 0.8553 0.6909 0.0073
O64 O 0.8653 0.5018 0.8325
O65 O 0.8719 0.0240 0.1634
O66 O 0.8725 0.2265 0.6596
O67 O 0.8802 0.1997 0.9922
O68 O 0.8801 0.2158 0.3795
O69 O 0.8847 0.0128 0.8905
O70 O 0.8859 0.0456 0.4796
O71 O 0.8988 0.0347 0.7785
O72 O 0.9087 0.2051 0.2675

---

Entry 2:
# Na5Y2Ga2P5SO24, relaxed, DFT PBE-GGA
# Magnetic moment: 0.00 μB per formula unit
# ρ: 3.1 g/cm³
# Total energy: -6.80 eV/atom
data_Na5Y2Ga2P5SO24
_cell_length_a 8.9831
_cell_length_b 9.0130
_cell_length_c 22.8755
_cell_angle_alpha 89.81
_cell_angle_beta 89.61
_cell_angle_gamma 60.13
_symmetry_space_group_name_H-M 'P 1'
_symmetry_Int_Tables_number 1
loop_
_symmetry_equiv_pos_as_xyz
'x,y,z'
loop_
_atom_site_label
_atom_site_type_symbol
_atom_site_fract_x
_atom_site_fract_y
_atom_site_fract_z
Na1 Na 0.0000 0.0000 0.0000
Na2 Na 0.9999 0.3657 0.4963
Na3 Na 0.0070 0.6804 0.9164
Na4 Na 0.0122 0.6722 0.4128
Na5 Na 0.0578 0.3338 0.8322
Na6 Na 0.0622 0.9718 0.3316
Na7 Na 0.3353 0.6966 0.8315
Na8 Na 0.3560 0.0143 0.2493
Na9 Na 0.3631 0.3679 0.0020
Na10 Na 0.3650 0.9929 0.7476
Na11 Na 0.3672 0.6387 0.4970
Na12 Na 0.3873 0.3105 0.6637
Na13 Na 0.6648 0.0371 0.1660
Na14 Na 0.6954 0.3530 0.0876
Na15 Na 0.7059 0.3334 0.5779
Y1 Y 0.0236 0.6775 0.7642
Y2 Y 0.0323 0.6650 0.0732
Y3 Y 0.3599 0.9973 0.5930
Y4 Y 0.3747 0.0005 0.8999
Y5 Y 0.6951 0.3404 0.9366
Y6 Y 0.7053 0.3381 0.7262
Ga1 Ga 0.0320 0.6674 0.5600
Ga2 Ga 0.0350 0.6543 0.2653
Ga3 Ga 0.3465 0.0110 0.1012
Ga4 Ga 0.3769 0.0152 0.4004
Ga5 Ga 0.7034 0.3189 0.2368
Ga6 Ga 0.7077 0.3232 0.4283
P1 P 0.0312 0.3799 0.6591
P2 P 0.0316 0.9711 0.1706
P3 P 0.0613 0.0022 0.4924
P4 P 0.0718 0.2948 0.0021
P5 P 0.3217 0.6685 0.6601
P6 P 0.3362 0.3665 0.1697
P7 P 0.3632 0.7140 0.0041
P8 P 0.3691 0.3034 0.4960
P9 P 0.3955 0.3362 0.8301
P10 P 0.6561 0.0007 0.0069
P11 P 0.6641 0.7014 0.4928
P12 P 0.6962 0.6358 0.8315
P13 P 0.6968 0.0405 0.3317
P14 P 0.9872 0.3376 0.3319
P15 P 0.9982 0.0349 0.8344
S1 S 0.4071 0.6250 0.3316
S2 S 0.7273 0.6655 0.1712
S3 S 0.7369 0.9619 0.6590
O1 O 0.0067 0.4994 0.3223
O2 O 0.0163 0.4922 0.6050
O3 O 0.0253 0.8525 0.8319
O4 O 0.0476 0.4571 0.7173
O5 O 0.0518 0.8351 0.5025
O6 O 0.0569 0.8508 0.2238
O7 O 0.0591 0.4711 0.0071
O8 O 0.1321 0.0465 0.5468
O9 O 0.1661 0.2240 0.9432
O10 O 0.1672 0.1690 0.3391
O11 O 0.1690 0.1762 0.0540
O12 O 0.1783 0.0190 0.8337
O13 O 0.1861 0.9649 0.4391
O14 O 0.1954 0.9870 0.1620
O15 O 0.1990 0.6965 0.0080
O16 O 0.2002 0.2051 0.6568
O17 O 0.2012 0.4851 0.5014
O18 O 0.2069 0.4639 0.2201
O19 O 0.2160 0.5010 0.8296
O20 O 0.2219 0.6546 0.6064
O21 O 0.2285 0.6475 0.3258
O22 O 0.2298 0.6840 0.7188
O23 O 0.2716 0.4628 0.1112
O24 O 0.3260 0.2136 0.4460
O25 O 0.3391 0.8060 0.9448
O26 O 0.3473 0.8242 0.6580
O27 O 0.3595 0.1816 0.1638
O28 O 0.3657 0.1824 0.8312
O29 O 0.3792 0.8139 0.0558
O30 O 0.3837 0.8011 0.3362
O31 O 0.4024 0.2039 0.5535
O32 O 0.4800 0.3557 0.8861
O33 O 0.4822 0.5243 0.3862
O34 O 0.4950 0.4966 0.6596
O35 O 0.4987 0.3212 0.7743
O36 O 0.5165 0.5390 0.2799
O37 O 0.5189 0.3450 0.1796
O38 O 0.5187 0.5306 0.0037
O39 O 0.5232 0.3325 0.4837
O40 O 0.5317 0.8109 0.8326
O41 O 0.5335 0.0236 0.3414
O42 O 0.5424 0.0203 0.0613
O43 O 0.5529 0.7688 0.5483
O44 O 0.5590 0.8269 0.1652
O45 O 0.5610 0.9861 0.6567
O46 O 0.5723 0.8244 0.4409
O47 O 0.5804 0.9823 0.9497
O48 O 0.6637 0.1485 0.2750
O49 O 0.6664 0.1687 0.0047
O50 O 0.6751 0.5485 0.7772
O51 O 0.6836 0.5188 0.4841
O52 O 0.7073 0.5141 0.1805
O53 O 0.7187 0.1353 0.6604
O54 O 0.7185 0.5283 0.8864
O55 O 0.7341 0.1283 0.3837
O56 O 0.8082 0.8732 0.7146
O57 O 0.8173 0.7000 0.2201
O58 O 0.8275 0.6336 0.1162
O59 O 0.8412 0.8486 0.0089
O60 O 0.8440 0.8699 0.6080
O61 O 0.8485 0.6766 0.5013
O62 O 0.8602 0.6484 0.8297
O63 O 0.8652 0.1510 0.1789
O64 O 0.8657 0.8615 0.3242
O65 O 0.8733 0.3568 0.6584
O66 O 0.8786 0.3683 0.3889
O67 O 0.8821 0.1660 0.4847
O68 O 0.8961 0.3034 0.0022
O69 O 0.8983 0.3017 0.2799
O70 O 0.9011 0.1156 0.8919
O71 O 0.9063 0.1470 0.7812
O72 O 0.9890 0.9034 0.1145

---

Entry 3:
# Na3Y2Ga2P3S3O24, relaxed, DFT PBE-GGA
# Magnetic moment: 0.00 μB per formula unit
# ρ: 3.0 g/cm³
# Total energy: -6.73 eV/atom
data_Na3Y2Ga2P3S3O24
_cell_length_a 8.8674
_cell_length_b 8.8837
_cell_length_c 23.0917
_cell_angle_alpha 90.03
_cell_angle_beta 91.28
_cell_angle_gamma 119.94
_symmetry_space_group_name_H-M 'P 1'
_symmetry_Int_Tables_number 1
loop_
_symmetry_equiv_pos_as_xyz
'x,y,z'
loop_
_atom_site_label
_atom_site_type_symbol
_atom_site_fract_x
_atom_site_fract_y
_atom_site_fract_z
Na1 Na 0.0000 0.0000 0.0000
Na2 Na 0.9999 0.2879 0.4958
Na3 Na 0.3314 0.6804 0.3322
Na4 Na 0.3440 0.3207 0.5745
Na5 Na 0.3496 0.3203 0.0864
Na6 Na 0.6511 0.9707 0.9179
Na7 Na 0.6634 0.9796 0.4133
Na8 Na 0.9740 0.6480 0.2523
Na9 Na 0.9958 0.6463 0.7473
Y1 Y 0.0018 0.6602 0.9011
Y2 Y 0.3141 0.3054 0.7241
Y3 Y 0.3391 0.3155 0.9343
Y4 Y 0.6765 0.9855 0.7649
Y5 Y 0.9911 0.6374 0.5921
Y6 Y 0.9983 0.6510 0.1058
Ga1 Ga 0.3208 0.3107 0.2344
Ga2 Ga 0.3447 0.3331 0.4250
Ga3 Ga 0.6511 0.9817 0.5575
Ga4 Ga 0.6640 0.9745 0.0697
Ga5 Ga 0.6900 0.9832 0.2670
Ga6 Ga 0.9783 0.6200 0.3970
P1 P 0.0310 0.0082 0.8327
P2 P 0.0407 0.3128 0.3319
P3 P 0.2989 0.6485 0.4907
P4 P 0.3142 0.9467 0.0039
P5 P 0.6236 0.6029 0.3283
P6 P 0.6864 0.3400 0.4914
P7 P 0.6962 0.6614 0.0030
P8 P 0.9490 0.2655 0.6547
P9 P 0.9627 0.9994 0.1677
S1 S 0.3277 0.6144 0.8297
S2 S 0.3298 0.0244 0.3295
S3 S 0.3744 0.9816 0.6583
S4 S 0.3903 0.6895 0.1700
S5 S 0.6330 0.3160 0.8295
S6 S 0.6517 0.2532 0.1693
S7 S 0.6617 0.6900 0.6572
S8 S 0.9858 0.3380 0.0008
S9 S 0.9990 0.9454 0.4916
O1 O 0.0131 0.4477 0.0517
O2 O 0.0146 0.8275 0.8299
O3 O 0.0259 0.4817 0.3391
O4 O 0.0274 0.8752 0.5460
O5 O 0.1180 0.1014 0.8905
O6 O 0.1236 0.2832 0.3877
O7 O 0.1308 0.2814 0.6550
O8 O 0.1366 0.1101 0.7801
O9 O 0.1399 0.3128 0.9975
O10 O 0.1446 0.1684 0.1751
O11 O 0.1528 0.1233 0.4856
O12 O 0.1629 0.3549 0.2798
O13 O 0.1658 0.6224 0.8312
O14 O 0.1739 0.8464 0.3342
O15 O 0.1800 0.6062 0.5429
O16 O 0.1870 0.8526 0.0527
O17 O 0.1970 0.8301 0.6549
O18 O 0.2109 0.6798 0.4358
O19 O 0.2130 0.6666 0.1659
O20 O 0.2407 0.8435 0.9465
O21 O 0.3019 0.1023 0.2759
O22 O 0.3157 0.4824 0.4831
O23 O 0.3187 0.5165 0.7766
O24 O 0.3233 0.1256 0.9993
O25 O 0.3465 0.5297 0.8821
O26 O 0.3573 0.1338 0.3814
O27 O 0.3655 0.1439 0.6589
O28 O 0.3763 0.5153 0.1742
O29 O 0.4521 0.9650 0.7130
O30 O 0.4717 0.7983 0.2231
O31 O 0.4750 0.9895 0.6069
O32 O 0.4803 0.7910 0.8286
O33 O 0.4815 0.8117 0.5015
O34 O 0.4862 0.0006 0.3252
O35 O 0.4886 0.7705 0.1168
O36 O 0.4944 0.2723 0.1725
O37 O 0.4961 0.9694 0.0145
O38 O 0.5039 0.5310 0.3814
O39 O 0.5046 0.3167 0.4787
O40 O 0.5065 0.5134 0.6580
O41 O 0.5111 0.5081 0.9977
O42 O 0.5378 0.3097 0.8818
O43 O 0.5376 0.4835 0.2744
O44 O 0.5453 0.3296 0.7764
O45 O 0.6316 0.1528 0.1149
O46 O 0.6402 0.7873 0.3203
O47 O 0.6425 0.1547 0.8294
O48 O 0.6446 0.7818 0.6061
O49 O 0.6731 0.1683 0.2217
O50 O 0.6742 0.7794 0.7125
O51 O 0.6777 0.1602 0.4990
O52 O 0.6937 0.8343 0.0105
O53 O 0.7560 0.4490 0.5469
O54 O 0.7866 0.6305 0.0548
O55 O 0.8055 0.6905 0.9481
O56 O 0.8073 0.6231 0.3390
O57 O 0.8098 0.4681 0.8322
O58 O 0.8107 0.4283 0.1663
O59 O 0.8202 0.4264 0.4417
O60 O 0.8218 0.6776 0.6554
O61 O 0.8289 0.1639 0.0056
O62 O 0.8406 0.9658 0.4959
O63 O 0.8459 0.9687 0.2195
O64 O 0.8487 0.9889 0.8320
O65 O 0.8518 0.1593 0.5986
O66 O 0.8542 0.1804 0.7103
O67 O 0.8561 0.1512 0.3238
O68 O 0.8799 0.0207 0.1098
O69 O 0.9657 0.4166 0.9469
O70 O 0.9709 0.4486 0.6551
O71 O 0.9710 0.8287 0.4413
O72 O 0.9865 0.8391 0.1645

---

Entry 4:
# NaYGaPS2O12, relaxed, DFT PBE-GGA
# Magnetic moment: 0.00 μB per formula unit
# ρ: 3.0 g/cm³
# Total energy: -6.69 eV/atom
data_NaYGaPS2O12
_cell_length_a 8.8013
_cell_length_b 8.8078
_cell_length_c 23.2093
_cell_angle_alpha 89.59
_cell_angle_beta 89.86
_cell_angle_gamma 60.20
_symmetry_space_group_name_H-M 'P 1'
_symmetry_Int_Tables_number 1
loop_
_symmetry_equiv_pos_as_xyz
'x,y,z'
loop_
_atom_site_label
_atom_site_type_symbol
_atom_site_fract_x
_atom_site_fract_y
_atom_site_fract_z
Na1 Na 0.0000 0.0000 0.0000
Na2 Na 0.0019 0.0293 0.4957
Na3 Na 0.3602 0.3355 0.1743
Na4 Na 0.3656 0.3371 0.6634
Na5 Na 0.6817 0.6704 0.3354
Na6 Na 0.6881 0.6894 0.8350
Y1 Y 0.3421 0.3463 0.0218
Y2 Y 0.3421 0.3479 0.8158
Y3 Y 0.6729 0.6784 0.6852
Y4 Y 0.6797 0.6877 0.9828
Y5 Y 0.9935 0.0195 0.1575
Y6 Y 0.9947 0.0228 0.6421
Ga1 Ga 0.3402 0.3539 0.3229
Ga2 Ga 0.3433 0.3460 0.5133
Ga3 Ga 0.6732 0.6806 0.1909
Ga4 Ga 0.6891 0.6617 0.4796
Ga5 Ga 0.9971 0.0501 0.3526
Ga6 Ga 0.9984 0.0028 0.8520
P1 P 0.0435 0.6602 0.9162
P2 P 0.0570 0.3489 0.4182
P3 P 0.6544 0.3965 0.5759
P4 P 0.6675 0.9710 0.0932
P5 P 0.6965 0.3258 0.2574
P6 P 0.7186 0.0089 0.7537
S1 S 0.0026 0.2999 0.7553
S2 S 0.0087 0.7129 0.2592
S3 S 0.2941 0.7341 0.7538
S4 S 0.3076 0.0175 0.2579
S5 S 0.3223 0.0479 0.9162
S6 S 0.3383 0.6455 0.4180
S7 S 0.3857 0.6804 0.0913
S8 S 0.3906 0.9787 0.5758
S9 S 0.6358 0.0541 0.4180
S10 S 0.6567 0.3348 0.9165
S11 S 0.9641 0.3936 0.0915
S12 S 0.9756 0.6660 0.5766
O1 O 0.9996 0.8210 0.5800
O2 O 0.0171 0.2062 0.7014
O3 O 0.0315 0.8420 0.9123
O4 O 0.0352 0.1824 0.4113
O5 O 0.0433 0.7803 0.2049
O6 O 0.1329 0.5506 0.8632
O7 O 0.1365 0.3844 0.0890
O8 O 0.1422 0.3776 0.3642
O9 O 0.1468 0.5712 0.9718
O10 O 0.1479 0.5053 0.5708
O11 O 0.1567 0.3247 0.7561
O12 O 0.1585 0.0431 0.9098
O13 O 0.1646 0.5352 0.2668
O14 O 0.1713 0.3159 0.4724
O15 O 0.1792 0.8204 0.4105
O16 O 0.2013 0.8204 0.7004
O17 O 0.2045 0.0477 0.2047
O18 O 0.2071 0.8340 0.8065
O19 O 0.2117 0.8393 0.0947
O20 O 0.2143 0.9954 0.5796
O21 O 0.2188 0.9863 0.3083
O22 O 0.3073 0.1478 0.9692
O23 O 0.3098 0.5635 0.4703
O24 O 0.3109 0.5585 0.7544
O25 O 0.3271 0.1745 0.2661
O26 O 0.3554 0.1288 0.8656
O27 O 0.3666 0.5219 0.0895
O28 O 0.3711 0.1564 0.5710
O29 O 0.3728 0.5326 0.3666
O30 O 0.4667 0.6918 0.0371
O31 O 0.4717 0.7139 0.7537
O32 O 0.4727 0.8677 0.9203
O33 O 0.4831 0.8579 0.2524
O34 O 0.4837 0.8666 0.5263
O35 O 0.4852 0.9062 0.6311
O36 O 0.4881 0.3782 0.5687
O37 O 0.4923 0.6621 0.1430
O38 O 0.4972 0.6661 0.4241
O39 O 0.5016 0.1535 0.0914
O40 O 0.5135 0.3450 0.2691
O41 O 0.5243 0.1352 0.3663
O42 O 0.5356 0.1732 0.7538
O43 O 0.5496 0.3575 0.8654
O44 O 0.5591 0.1638 0.4702
O45 O 0.5744 0.3120 0.9694
O46 O 0.6311 0.4945 0.6330
O47 O 0.6541 0.8768 0.4254
O48 O 0.6581 0.8703 0.1474
O49 O 0.6745 0.4920 0.9207
O50 O 0.6802 0.5100 0.2475
O51 O 0.6804 0.8767 0.0367
O52 O 0.6825 0.4906 0.5243
O53 O 0.7034 0.8420 0.7522
O54 O 0.7674 0.2141 0.2033
O55 O 0.8077 0.0213 0.6984
O56 O 0.8142 0.0354 0.4104
O57 O 0.8190 0.2126 0.5786
O58 O 0.8220 0.9990 0.8088
O59 O 0.8238 0.2388 0.3094
O60 O 0.8315 0.1776 0.9117
O61 O 0.8333 0.9888 0.0940
O62 O 0.8409 0.4736 0.7540
O63 O 0.8484 0.6960 0.2523
O64 O 0.8569 0.6864 0.9178
O65 O 0.8583 0.6975 0.5268
O66 O 0.8674 0.4701 0.0375
O67 O 0.8701 0.5139 0.4244
O68 O 0.8721 0.4949 0.1432
O69 O 0.8992 0.6463 0.6313
O70 O 0.9812 0.8314 0.3082
O71 O 0.9905 0.2143 0.0941
O72 O 0.9961 0.2066 0.8076